Record 1
Computed, not measured: crystalline Sb2BrF15 at its relaxed geometry at the PBE level of DFT.

Computed properties:
ΔE to the lowest computed polymorph in meV/atom: 3
Space group: P2_1/c (14)
E (MP2020) in eV per atom: -4.314
Calculated total energy in eV/atom: -3.929
Formation energy from the elements in kJ/mol of formula units: -3766

Lattice parameters (Å, degrees): 5.4120 14.8299 14.6261 90.00 93.11 90.00
Fractional positions:
1 Sb 0.0926 0.1472 0.1519
2 Sb 0.0926 0.3528 0.6519
3 Sb 0.3793 0.1452 0.8156
4 Sb 0.3793 0.3548 0.3156
5 Sb 0.6207 0.6452 0.6844
6 Sb 0.6207 0.8548 0.1844
7 Sb 0.9074 0.6472 0.3481
8 Sb 0.9074 0.8528 0.8481
9 Br 0.2724 0.6536 0.0183
10 Br 0.2724 0.8464 0.5183
11 Br 0.7276 0.1536 0.4817
12 Br 0.7276 0.3464 0.9817
13 F 0.9998 0.1409 0.4176
14 F 0.9998 0.3591 0.9176
15 F 0.0002 0.6409 0.0824
16 F 0.0002 0.8591 0.5824
17 F 0.0493 0.5573 0.4245
18 F 0.0493 0.9427 0.9245
19 F 0.0621 0.7452 0.4251
20 F 0.0621 0.7548 0.9251
21 F 0.1018 0.1684 0.8850
22 F 0.1018 0.3316 0.3850
23 F 0.1438 0.5736 0.9417
24 F 0.1438 0.9264 0.4417
25 F 0.1830 0.6575 0.2750
26 F 0.1830 0.8425 0.7750
27 F 0.2063 0.0605 0.7397
28 F 0.2063 0.4395 0.2397
29 F 0.2303 0.2438 0.7288
30 F 0.2303 0.2562 0.2288
31 F 0.2638 0.0726 0.2388
32 F 0.2638 0.4274 0.7388
33 F 0.3521 0.6487 0.7615
34 F 0.3521 0.8513 0.2615
35 F 0.3755 0.1640 0.0836
36 F 0.3755 0.3360 0.5836
37 F 0.4094 0.5716 0.0901
38 F 0.4094 0.9284 0.5901
39 F 0.4524 0.1483 0.5456
40 F 0.4524 0.3517 0.0456
41 F 0.4625 0.7492 0.1196
42 F 0.4625 0.7508 0.6196
43 F 0.4686 0.5650 0.5993
44 F 0.4686 0.9350 0.0993
45 F 0.5314 0.0650 0.9007
46 F 0.5314 0.4350 0.4007
47 F 0.5375 0.2492 0.3804
48 F 0.5375 0.2508 0.8804
49 F 0.5476 0.6483 0.9544
50 F 0.5476 0.8517 0.4544
51 F 0.5906 0.0716 0.4098
52 F 0.5906 0.4284 0.9098
53 F 0.6245 0.6640 0.4164
54 F 0.6245 0.8360 0.9164
55 F 0.6479 0.1487 0.7385
56 F 0.6479 0.3513 0.2385
57 F 0.7362 0.5726 0.2612
58 F 0.7362 0.9274 0.7612
59 F 0.7697 0.7438 0.7712
60 F 0.7697 0.7562 0.2712
61 F 0.7937 0.5605 0.7603
62 F 0.7937 0.9395 0.2603
63 F 0.8170 0.1575 0.2250
64 F 0.8170 0.3425 0.7250
65 F 0.8562 0.0736 0.5583
66 F 0.8562 0.4264 0.0583
67 F 0.8982 0.6684 0.6150
68 F 0.8982 0.8316 0.1150
69 F 0.9379 0.2452 0.0749
70 F 0.9379 0.2548 0.5749
71 F 0.9507 0.0573 0.0755
72 F 0.9507 0.4427 0.5755

***

Record 2
Computed, not measured: crystalline IrF3 at its relaxed geometry at the PBE level of DFT.

Computed properties:
Space group: R-3c (167)
E (MP2020) in eV per atom: -5.253
Calculated total energy in eV/atom: -4.907
Formation energy from the elements in kJ/mol of formula units: -620

Lattice parameters (Å, degrees): 5.5301 5.5301 5.5301 54.10 54.10 54.10
Fractional positions:
1 Ir 0.0000 0.0000 0.0000
2 Ir 0.5000 0.5000 0.5000
3 F 0.0894 0.7500 0.4106
4 F 0.2500 0.5894 0.9106
5 F 0.4106 0.0894 0.7500
6 F 0.5894 0.9106 0.2500
7 F 0.7500 0.4106 0.0894
8 F 0.9106 0.2500 0.5894

***

Record 3
Computed, not measured: crystalline LiH2BrO5 at its relaxed geometry at the PBE level of DFT.

Computed properties:
ΔE to the lowest computed polymorph in meV/atom: 0
Space group: C2/c (15)
E (MP2020) in eV per atom: -4.841
Calculated total energy in eV/atom: -4.460
Formation energy from the elements in kJ/mol of formula units: -820

Lattice parameters (Å, degrees): 8.1165 8.1165 10.9441 109.70 109.70 40.08
Fractional positions:
1 Li 0.0000 0.5000 0.5000
2 Li 0.0701 0.9299 0.7500
3 Li 0.5000 0.0000 0.0000
4 Li 0.9299 0.0701 0.2500
5 H 0.0225 0.2698 0.9336
6 H 0.0488 0.1617 0.5097
7 H 0.1617 0.0488 0.0097
8 H 0.2698 0.0225 0.4336
9 H 0.7302 0.9775 0.5664
10 H 0.8383 0.9512 0.9903
11 H 0.9512 0.8383 0.4903
12 H 0.9775 0.7302 0.0664
13 Br 0.3171 0.4240 0.2889
14 Br 0.4240 0.3171 0.7889
15 Br 0.5760 0.6829 0.2111
16 Br 0.6829 0.5760 0.7111
17 O 0.0819 0.1708 0.4351
18 O 0.1368 0.7327 0.3407
19 O 0.1708 0.0819 0.9351
20 O 0.2326 0.3374 0.3474
21 O 0.2496 0.6226 0.8415
22 O 0.2673 0.8632 0.1593
23 O 0.2684 0.3837 0.1269
24 O 0.3374 0.2326 0.8474
25 O 0.3774 0.7504 0.6585
26 O 0.3837 0.2684 0.6269
27 O 0.6163 0.7316 0.3731
28 O 0.6226 0.2496 0.3415
29 O 0.6626 0.7674 0.1526
30 O 0.7316 0.6163 0.8731
31 O 0.7327 0.1368 0.8407
32 O 0.7504 0.3774 0.1585
33 O 0.7674 0.6626 0.6526
34 O 0.8292 0.9181 0.0649
35 O 0.8632 0.2673 0.6593
36 O 0.9181 0.8292 0.5649

***

Record 4
Computed, not measured: crystalline CsNa3TiO4 at its relaxed geometry at the PBE level of DFT.

Computed properties:
Space group: P-1 (2)
E (MP2020) in eV per atom: -6.020
Calculated total energy in eV/atom: -5.714
Formation energy from the elements in kJ/mol of formula units: -2087

Lattice parameters (Å, degrees): 6.6148 8.6395 11.4318 82.68 76.15 79.68
Fractional positions:
1 Cs 0.0329 0.3799 0.3737
2 Cs 0.0412 0.1351 0.1261
3 Cs 0.9588 0.8649 0.8739
4 Cs 0.9671 0.6201 0.6263
5 Na 0.1825 0.4464 0.8962
6 Na 0.2037 0.1663 0.6451
7 Na 0.2047 0.9425 0.3959
8 Na 0.4293 0.0438 0.8748
9 Na 0.4607 0.5703 0.3746
10 Na 0.4951 0.3342 0.1074
11 Na 0.5049 0.6658 0.8926
12 Na 0.5393 0.4297 0.6254
13 Na 0.5707 0.9562 0.1252
14 Na 0.7953 0.0575 0.6041
15 Na 0.7963 0.8337 0.3549
16 Na 0.8175 0.5536 0.1038
17 Ti 0.1654 0.7151 0.1453
18 Ti 0.4198 0.7872 0.6377
19 Ti 0.5802 0.2128 0.3623
20 Ti 0.8346 0.2849 0.8547
21 O 0.1124 0.2017 0.8548
22 O 0.1817 0.7138 0.3043
23 O 0.1828 0.9164 0.6027
24 O 0.2019 0.5179 0.0879
25 O 0.3306 0.6227 0.7469
26 O 0.3471 0.8381 0.0419
27 O 0.4132 0.3098 0.4951
28 O 0.4294 0.1144 0.2849
29 O 0.5706 0.8856 0.7151
30 O 0.5868 0.6902 0.5049
31 O 0.6529 0.1619 0.9581
32 O 0.6694 0.3773 0.2531
33 O 0.7981 0.4821 0.9121
34 O 0.8172 0.0836 0.3973
35 O 0.8183 0.2862 0.6957
36 O 0.8876 0.7983 0.1452

***

Record 5
Computed, not measured: crystalline Mg3H6SeO3 at its relaxed geometry at the PBE level of DFT.

Computed properties:
ΔE to the lowest computed polymorph in meV/atom: 148
Space group: P1 (1)
E (MP2020) in eV per atom: -4.397
Calculated total energy in eV/atom: -4.238
Formation energy from the elements in kJ/mol of formula units: -1318

Lattice parameters (Å, degrees): 5.9921 6.0302 7.2528 90.16 105.61 119.76
Fractional positions:
1 Mg 0.0000 0.0000 0.0000
2 Mg 0.2249 0.5998 0.0829
3 Mg 0.6729 0.2177 0.1385
4 H 0.0197 0.1791 0.4130
5 H 0.1081 0.8766 0.7510
6 H 0.2903 0.0471 0.4529
7 H 0.3953 0.1863 0.4566
8 H 0.8565 0.8410 0.5708
9 H 0.9603 0.3312 0.5519
10 Se 0.7090 0.6610 0.1937
11 O 0.3026 0.9425 0.0385
12 O 0.8819 0.2134 0.4297
13 O 0.9256 0.8535 0.7122

***

Record 6
Computed, not measured: crystalline YMg6Bi at its relaxed geometry at the PBE level of DFT.

Computed properties:
ΔE to the lowest computed polymorph in meV/atom: 15
Calculated total energy in eV/atom: -2.580
Formation energy from the elements in kJ/mol of formula units: -66

Lattice parameters (Å, degrees): 5.1565 6.8292 11.4582 90.00 90.00 90.00
Fractional positions:
1 Mg 0.5000 0.0000 0.1687
2 Mg 0.0000 0.0000 0.3360
3 Mg 0.5000 0.2628 0.9197
4 Mg 0.5000 0.5000 0.6687
5 Mg 0.5000 0.2372 0.4197
6 Mg 0.0000 0.7623 0.0796
7 Mg 0.0000 0.2623 0.5796
8 Y 0.0000 0.0000 0.8320
9 Bi 0.5000 0.5000 0.1649
10 Mg 0.0000 0.7377 0.5796
11 Bi 0.5000 0.0000 0.6649
12 Mg 0.5000 0.7372 0.9197
13 Mg 0.5000 0.7628 0.4197
14 Mg 0.0000 0.2377 0.0796
15 Mg 0.0000 0.5000 0.8360
16 Y 0.0000 0.5000 0.3320

***

Record 7
Computed, not measured: crystalline NdGdIr2 at its relaxed geometry at the PBE level of DFT.

Computed properties:
Space group: Fm-3m (225)
Calculated total energy in eV/atom: -9.779
Formation energy from the elements in kJ/mol of formula units: -250

Lattice parameters (Å, degrees): 4.9681 4.9681 4.9681 60.00 60.00 60.00
Fractional positions:
1 Nd 0.0000 0.0000 0.0000
2 Gd 0.5000 0.5000 0.5000
3 Ir 0.2500 0.2500 0.2500
4 Ir 0.7500 0.7500 0.7500

***

Record 8
Computed, not measured: crystalline Rb2PH5O6 at its relaxed geometry at the PBE level of DFT.

Computed properties:
Space group: P2_1/c (14)
E (MP2020) in eV per atom: -5.768
Calculated total energy in eV/atom: -5.474
Formation energy from the elements in kJ/mol of formula units: -2579

Lattice parameters (Å, degrees): 7.5814 13.7154 7.9916 90.00 120.04 90.00
Fractional positions:
1 Rb 0.2360 0.0844 0.2598
2 Rb 0.2360 0.4156 0.7598
3 Rb 0.2532 0.7362 0.7570
4 Rb 0.2532 0.7638 0.2570
5 Rb 0.7468 0.2362 0.7430
6 Rb 0.7468 0.2638 0.2430
7 Rb 0.7640 0.5844 0.2402
8 Rb 0.7640 0.9156 0.7402
9 P 0.2300 0.1456 0.7384
10 P 0.2300 0.3544 0.2384
11 P 0.7700 0.6456 0.7616
12 P 0.7700 0.8544 0.2616
13 H 0.1628 0.5874 0.9569
14 H 0.1628 0.9126 0.4569
15 H 0.1846 0.5250 0.3896
16 H 0.1846 0.9750 0.8896
17 H 0.2535 0.2355 0.9888
18 H 0.2535 0.2645 0.4888
19 H 0.3335 0.5290 0.1355
20 H 0.3335 0.9710 0.6355
21 H 0.3658 0.5830 0.5678
22 H 0.3658 0.9170 0.0678
23 H 0.6342 0.0830 0.9322
24 H 0.6342 0.4170 0.4322
25 H 0.6665 0.0290 0.3645
26 H 0.6665 0.4710 0.8645
27 H 0.7465 0.7355 0.5112
28 H 0.7465 0.7645 0.0112
29 H 0.8154 0.0250 0.1104
30 H 0.8154 0.4750 0.6104
31 H 0.8372 0.0874 0.5431
32 H 0.8372 0.4126 0.0431
33 O 0.0697 0.0802 0.7492
34 O 0.0697 0.4198 0.2492
35 O 0.1282 0.2201 0.5714
36 O 0.1282 0.2799 0.0714
37 O 0.2160 0.5849 0.4706
38 O 0.2160 0.9151 0.9706
39 O 0.3094 0.5914 0.0621
40 O 0.3094 0.9086 0.5621
41 O 0.3458 0.2069 0.9388
42 O 0.3458 0.2931 0.4388
43 O 0.3998 0.0882 0.7295
44 O 0.3998 0.4118 0.2295
45 O 0.6002 0.5882 0.7705
46 O 0.6002 0.9118 0.2705
47 O 0.6542 0.7069 0.5612
48 O 0.6542 0.7931 0.0612
49 O 0.6906 0.0914 0.4379
50 O 0.6906 0.4086 0.9379
51 O 0.7840 0.0849 0.0294
52 O 0.7840 0.4151 0.5294
53 O 0.8718 0.7201 0.9286
54 O 0.8718 0.7799 0.4286
55 O 0.9303 0.5802 0.7508
56 O 0.9303 0.9198 0.2508

***

Repeat the first record exactly.
Computed, not measured: crystalline Sb2BrF15 at its relaxed geometry at the PBE level of DFT.

Computed properties:
ΔE to the lowest computed polymorph in meV/atom: 3
Space group: P2_1/c (14)
E (MP2020) in eV per atom: -4.314
Calculated total energy in eV/atom: -3.929
Formation energy from the elements in kJ/mol of formula units: -3766

Lattice parameters (Å, degrees): 5.4120 14.8299 14.6261 90.00 93.11 90.00
Fractional positions:
1 Sb 0.0926 0.1472 0.1519
2 Sb 0.0926 0.3528 0.6519
3 Sb 0.3793 0.1452 0.8156
4 Sb 0.3793 0.3548 0.3156
5 Sb 0.6207 0.6452 0.6844
6 Sb 0.6207 0.8548 0.1844
7 Sb 0.9074 0.6472 0.3481
8 Sb 0.9074 0.8528 0.8481
9 Br 0.2724 0.6536 0.0183
10 Br 0.2724 0.8464 0.5183
11 Br 0.7276 0.1536 0.4817
12 Br 0.7276 0.3464 0.9817
13 F 0.9998 0.1409 0.4176
14 F 0.9998 0.3591 0.9176
15 F 0.0002 0.6409 0.0824
16 F 0.0002 0.8591 0.5824
17 F 0.0493 0.5573 0.4245
18 F 0.0493 0.9427 0.9245
19 F 0.0621 0.7452 0.4251
20 F 0.0621 0.7548 0.9251
21 F 0.1018 0.1684 0.8850
22 F 0.1018 0.3316 0.3850
23 F 0.1438 0.5736 0.9417
24 F 0.1438 0.9264 0.4417
25 F 0.1830 0.6575 0.2750
26 F 0.1830 0.8425 0.7750
27 F 0.2063 0.0605 0.7397
28 F 0.2063 0.4395 0.2397
29 F 0.2303 0.2438 0.7288
30 F 0.2303 0.2562 0.2288
31 F 0.2638 0.0726 0.2388
32 F 0.2638 0.4274 0.7388
33 F 0.3521 0.6487 0.7615
34 F 0.3521 0.8513 0.2615
35 F 0.3755 0.1640 0.0836
36 F 0.3755 0.3360 0.5836
37 F 0.4094 0.5716 0.0901
38 F 0.4094 0.9284 0.5901
39 F 0.4524 0.1483 0.5456
40 F 0.4524 0.3517 0.0456
41 F 0.4625 0.7492 0.1196
42 F 0.4625 0.7508 0.6196
43 F 0.4686 0.5650 0.5993
44 F 0.4686 0.9350 0.0993
45 F 0.5314 0.0650 0.9007
46 F 0.5314 0.4350 0.4007
47 F 0.5375 0.2492 0.3804
48 F 0.5375 0.2508 0.8804
49 F 0.5476 0.6483 0.9544
50 F 0.5476 0.8517 0.4544
51 F 0.5906 0.0716 0.4098
52 F 0.5906 0.4284 0.9098
53 F 0.6245 0.6640 0.4164
54 F 0.6245 0.8360 0.9164
55 F 0.6479 0.1487 0.7385
56 F 0.6479 0.3513 0.2385
57 F 0.7362 0.5726 0.2612
58 F 0.7362 0.9274 0.7612
59 F 0.7697 0.7438 0.7712
60 F 0.7697 0.7562 0.2712
61 F 0.7937 0.5605 0.7603
62 F 0.7937 0.9395 0.2603
63 F 0.8170 0.1575 0.2250
64 F 0.8170 0.3425 0.7250
65 F 0.8562 0.0736 0.5583
66 F 0.8562 0.4264 0.0583
67 F 0.8982 0.6684 0.6150
68 F 0.8982 0.8316 0.1150
69 F 0.9379 0.2452 0.0749
70 F 0.9379 0.2548 0.5749
71 F 0.9507 0.0573 0.0755
72 F 0.9507 0.4427 0.5755

***

Please write out number 1 again, unchanged.
Computed, not measured: crystalline Sb2BrF15 at its relaxed geometry at the PBE level of DFT.

Computed properties:
ΔE to the lowest computed polymorph in meV/atom: 3
Space group: P2_1/c (14)
E (MP2020) in eV per atom: -4.314
Calculated total energy in eV/atom: -3.929
Formation energy from the elements in kJ/mol of formula units: -3766

Lattice parameters (Å, degrees): 5.4120 14.8299 14.6261 90.00 93.11 90.00
Fractional positions:
1 Sb 0.0926 0.1472 0.1519
2 Sb 0.0926 0.3528 0.6519
3 Sb 0.3793 0.1452 0.8156
4 Sb 0.3793 0.3548 0.3156
5 Sb 0.6207 0.6452 0.6844
6 Sb 0.6207 0.8548 0.1844
7 Sb 0.9074 0.6472 0.3481
8 Sb 0.9074 0.8528 0.8481
9 Br 0.2724 0.6536 0.0183
10 Br 0.2724 0.8464 0.5183
11 Br 0.7276 0.1536 0.4817
12 Br 0.7276 0.3464 0.9817
13 F 0.9998 0.1409 0.4176
14 F 0.9998 0.3591 0.9176
15 F 0.0002 0.6409 0.0824
16 F 0.0002 0.8591 0.5824
17 F 0.0493 0.5573 0.4245
18 F 0.0493 0.9427 0.9245
19 F 0.0621 0.7452 0.4251
20 F 0.0621 0.7548 0.9251
21 F 0.1018 0.1684 0.8850
22 F 0.1018 0.3316 0.3850
23 F 0.1438 0.5736 0.9417
24 F 0.1438 0.9264 0.4417
25 F 0.1830 0.6575 0.2750
26 F 0.1830 0.8425 0.7750
27 F 0.2063 0.0605 0.7397
28 F 0.2063 0.4395 0.2397
29 F 0.2303 0.2438 0.7288
30 F 0.2303 0.2562 0.2288
31 F 0.2638 0.0726 0.2388
32 F 0.2638 0.4274 0.7388
33 F 0.3521 0.6487 0.7615
34 F 0.3521 0.8513 0.2615
35 F 0.3755 0.1640 0.0836
36 F 0.3755 0.3360 0.5836
37 F 0.4094 0.5716 0.0901
38 F 0.4094 0.9284 0.5901
39 F 0.4524 0.1483 0.5456
40 F 0.4524 0.3517 0.0456
41 F 0.4625 0.7492 0.1196
42 F 0.4625 0.7508 0.6196
43 F 0.4686 0.5650 0.5993
44 F 0.4686 0.9350 0.0993
45 F 0.5314 0.0650 0.9007
46 F 0.5314 0.4350 0.4007
47 F 0.5375 0.2492 0.3804
48 F 0.5375 0.2508 0.8804
49 F 0.5476 0.6483 0.9544
50 F 0.5476 0.8517 0.4544
51 F 0.5906 0.0716 0.4098
52 F 0.5906 0.4284 0.9098
53 F 0.6245 0.6640 0.4164
54 F 0.6245 0.8360 0.9164
55 F 0.6479 0.1487 0.7385
56 F 0.6479 0.3513 0.2385
57 F 0.7362 0.5726 0.2612
58 F 0.7362 0.9274 0.7612
59 F 0.7697 0.7438 0.7712
60 F 0.7697 0.7562 0.2712
61 F 0.7937 0.5605 0.7603
62 F 0.7937 0.9395 0.2603
63 F 0.8170 0.1575 0.2250
64 F 0.8170 0.3425 0.7250
65 F 0.8562 0.0736 0.5583
66 F 0.8562 0.4264 0.0583
67 F 0.8982 0.6684 0.6150
68 F 0.8982 0.8316 0.1150
69 F 0.9379 0.2452 0.0749
70 F 0.9379 0.2548 0.5749
71 F 0.9507 0.0573 0.0755
72 F 0.9507 0.4427 0.5755

***

What is the formula in the seventh record? NdGdIr2

***

The highest calculated total energy belongs to which entry? YMg6Bi